[1]
Material: CaZn2P2O10
Method: DFT, PBE
State: relaxed

Structure (POSCAR):
```
CaZn2P2O10
1.0
22.8055 0.0000 0.0000
0.0000 16.6961 0.0000
0.0000 0.0000 6.7169
Ca Zn P O
12 24 24 120
Cartesian
1.0260 3.9725 0.0000
2.7544 4.2453 3.3298
4.8202 12.3946 0.0707
6.5826 12.3946 3.4291
8.6483 4.2453 6.6882
10.3768 3.9725 3.3584
12.4287 12.7235 0.0000
14.1572 12.4508 3.3298
16.2229 4.3015 0.0707
17.9854 4.3015 3.4291
20.0511 12.4508 6.6882
21.7795 12.7235 3.3584
1.8306 16.0089 2.9774
1.8925 8.8111 3.7990
1.9238 8.8693 0.4275
1.9553 16.0886 6.3466
5.6060 7.6298 3.7427
5.6732 0.4305 6.2844
5.7295 0.4305 2.9259
5.7968 7.6298 0.3843
9.4474 16.0886 2.9882
9.4790 8.8693 3.7859
9.5102 8.8111 0.4406
9.5721 16.0089 6.3358
13.2334 0.6872 2.9774
13.2953 7.8850 3.7990
13.3265 7.8268 0.4275
13.3581 0.6075 6.3466
17.0087 9.0663 3.7427
17.0760 16.2655 6.2844
17.1323 16.2655 2.9259
17.1996 9.0663 0.3843
20.8502 0.6075 2.9882
20.8817 7.8268 3.7859
20.9130 7.8850 0.4406
20.9749 0.6872 6.3358
0.4693 6.6377 2.0699
0.5746 1.6613 4.6085
3.2696 6.5432 5.4782
3.3009 1.5952 1.3172
4.2814 14.8737 4.6413
4.3581 9.9057 2.0953
7.0446 9.9057 5.4537
7.1214 14.8737 1.2828
8.1019 1.5952 4.6757
8.1331 6.5432 2.1198
10.8282 1.6613 1.2500
10.9334 6.6377 5.4283
11.8721 10.0584 2.0699
11.9774 15.0347 4.6085
14.6724 10.1528 5.4782
14.7036 15.1009 1.3172
15.6842 1.8224 4.6413
15.7609 6.7904 2.0953
18.4474 6.7904 5.4537
18.5241 1.8224 1.2828
19.5047 15.1009 4.6757
19.5359 10.1528 2.1198
22.2309 15.0347 1.2500
22.3362 10.0584 5.4283
0.2173 14.9326 2.5998
0.3197 15.0903 0.0092
0.3468 9.9497 4.1175
0.3705 9.9693 6.7146
1.2349 5.2954 2.0058
1.3984 11.9699 2.0878
1.4460 12.8459 5.0103
1.4666 0.3500 4.6514
1.4787 2.9049 4.6041
1.5247 7.8293 2.0931
2.2793 0.3698 1.3431
2.3032 12.0215 5.3336
2.3353 12.6331 1.6416
2.3398 7.8297 5.4799
2.3903 5.2815 5.4803
2.4938 2.9121 1.3580
3.3859 14.9113 3.3927
3.4971 14.9284 5.9866
3.5218 9.7819 3.3729
3.5274 9.9690 0.7781
4.0335 6.4929 4.1093
4.0997 1.4867 0.0087
4.1606 1.5561 2.6017
4.1907 6.5991 6.6981
5.1124 13.5745 4.6929
5.1892 3.6636 4.7633
5.2025 11.1958 2.1097
5.2704 16.1173 4.6006
5.3029 4.4035 1.7831
5.3198 8.6409 2.0386
6.0998 4.4035 5.1415
6.0829 8.6409 5.3971
6.1324 16.1173 1.2421
6.2135 3.6636 1.4048
6.2003 11.1958 5.4681
6.2903 13.5745 1.3344
7.2121 6.5991 3.3397
7.2422 1.5561 5.9602
7.3030 1.4867 3.3671
7.3692 6.4929 0.7509
7.8753 9.9690 4.1366
7.8810 9.7819 0.0144
7.9057 14.9284 2.6282
8.0168 14.9113 0.0343
8.9090 2.9121 4.7164
9.0125 5.2815 2.1218
9.0629 7.8297 2.1215
9.0675 12.6331 5.0000
9.0995 12.0215 1.9752
9.1235 0.3698 4.7016
9.8781 7.8293 5.4515
9.9241 2.9049 1.2457
9.9362 0.3500 1.2930
9.9567 12.8459 1.6519
10.0043 11.9699 5.4463
10.1679 5.2954 5.3642
11.0322 9.9693 3.3561
11.0560 9.9497 0.7591
11.0830 15.0903 3.3676
11.1855 14.9326 5.9582
11.6201 1.7635 2.5998
11.7225 1.6058 0.0092
11.7496 6.7464 4.1175
11.7733 6.7268 6.7146
12.6377 11.4007 2.0058
12.8012 4.7262 2.0878
12.8488 3.8501 5.0103
12.8694 16.3461 4.6514
12.8815 13.7912 4.6041
12.9275 8.8667 2.0931
13.6820 16.3263 1.3431
13.7060 4.6745 5.3336
13.7380 4.0629 1.6416
13.7426 8.8664 5.4799
13.7931 11.4146 5.4803
13.8965 13.7839 1.3580
14.7887 1.7848 3.3927
14.8999 1.7677 5.9866
14.9245 6.9142 3.3729
14.9302 6.7271 0.7781
15.4363 10.2032 4.1093
15.5025 15.2094 0.0087
15.5634 15.1399 2.6017
15.5934 10.0970 6.6981
16.5152 3.1216 4.6929
16.6053 5.5003 2.1097
16.5920 13.0325 4.7633
16.6731 0.5788 4.6006
16.7226 8.0552 2.0386
16.7057 12.2926 1.7831
17.4857 8.0552 5.3971
17.5026 12.2926 5.1415
17.5352 0.5788 1.2421
17.6030 5.5003 5.4681
17.6163 13.0325 1.4048
17.6931 3.1216 1.3344
18.6149 10.0970 3.3397
18.6449 15.1399 5.9602
18.7058 15.2094 3.3671
18.7720 10.2032 0.7509
19.2781 6.7271 4.1366
19.2838 6.9142 0.0144
19.3084 1.7677 2.6282
19.4196 1.7848 0.0343
20.3118 13.7839 4.7164
20.4152 11.4146 2.1218
20.4657 8.8664 2.1215
20.4703 4.0629 5.0000
20.5023 4.6745 1.9752
20.5262 16.3263 4.7016
21.2808 8.8667 5.4515
21.3268 13.7912 1.2457
21.3389 16.3461 1.2930
21.3595 3.8501 1.6519
21.4071 4.7262 5.4463
21.5706 11.4007 5.3642
22.4350 6.7268 3.3561
22.4587 6.7464 0.7591
22.4858 1.6058 3.3676
22.5882 1.7635 5.9582
```

## Properties
Mass density   3.06 Mg/m³
Distance to the lowest polymorph of the same formula   0.0048 eV/atom
Crystal system   orthorhombic
Calculated formation energy   -2052 meV/atom



[2]
Material: CaZn2P2O10
Method: DFT, PBE
State: relaxed

Structure (POSCAR):
```
CaZn2P2O10
1.0
16.5954 0.0000 0.0000
0.0000 7.6610 0.0000
0.0000 0.0000 6.6970
Ca Zn P O
4 8 8 40
Cartesian
0.0000 0.9042 1.6743
0.0000 6.7568 5.0228
8.2977 2.9263 5.0228
8.2977 4.7347 1.6743
3.5512 3.7620 1.2694
3.5512 3.8990 4.6179
4.7464 0.0685 4.6179
4.7464 7.5925 1.2694
11.8489 0.0685 5.4276
11.8489 7.5925 2.0791
13.0441 3.7620 2.0791
13.0441 3.8990 5.4276
2.4532 1.4220 6.2869
2.4532 6.2390 2.9384
5.8444 2.4085 2.9384
5.8444 5.2525 6.2869
10.7509 2.4085 0.4102
10.7509 5.2525 3.7587
14.1421 1.4220 3.7587
14.1421 6.2390 0.4102
0.3792 3.3689 3.2044
0.3792 4.2921 6.5529
1.1696 0.5722 6.2889
1.1696 7.0888 2.9404
2.4182 2.1945 0.9157
2.4182 5.4665 4.2642
2.5291 2.3035 5.0404
2.5291 5.3575 1.6919
3.7222 0.4621 6.2966
3.7222 7.1990 2.9481
4.5754 3.3685 2.9481
4.5754 4.2926 6.2966
5.7685 1.5270 1.6919
5.7685 6.1340 5.0404
5.8795 1.6360 4.2642
5.8795 6.0250 0.9157
7.1281 3.2583 2.9404
7.1281 4.4027 6.2889
7.9185 0.4616 6.5529
7.9185 7.1995 3.2044
8.6769 0.4616 3.4926
8.6769 7.1995 0.1441
9.4672 3.2583 0.4081
9.4672 4.4027 3.7567
10.7159 1.6360 5.7814
10.7159 6.0250 2.4328
10.8268 1.5270 1.6566
10.8268 6.1340 5.0052
12.0199 3.3685 0.4004
12.0199 4.2926 3.7489
12.8731 0.4621 3.7489
12.8731 7.1990 0.4004
14.0662 2.3035 5.0052
14.0662 5.3575 1.6566
14.1771 2.1945 2.4328
14.1771 5.4665 5.7814
15.4258 0.5722 3.7567
15.4258 7.0888 0.4081
16.2162 3.3689 0.1441
16.2162 4.2921 3.4926
```

## Properties
Mass density   3.06 Mg/m³
Distance to the lowest polymorph of the same formula   0.0031 eV/atom
Crystal system   orthorhombic
Calculated formation energy   -2053 meV/atom



[3]
Material: CaZr4P6O24
Method: DFT, PBE
State: relaxed

Structure (POSCAR):
```
CaZr4P6O24
1.0
4.4731 2.5826 7.6345
-4.4731 2.5826 7.6345
0.0000 -5.1651 7.6345
Ca Zr P O
1 4 6 24
Cartesian
0.0000 0.0000 0.0000
0.0000 0.0000 3.4075
0.0000 0.0000 8.2564
0.0000 0.0000 14.6472
0.0000 0.0000 19.4961
-3.2488 -0.3106 9.4795
-1.3554 -2.9688 13.4240
1.8934 -2.6582 9.4795
-1.8933 2.6582 13.4240
1.3554 2.9688 9.4795
3.2488 0.3106 13.4240
-0.8282 -1.5198 4.4934
-3.7708 1.1622 9.5412
-2.8919 -2.6845 13.3623
-0.5713 -1.6143 7.0112
-0.9021 1.4771 4.4934
-1.7186 -0.2995 9.3794
-1.1124 1.3019 7.0112
0.8789 -3.8467 9.5412
1.7302 0.0427 4.4934
-0.5999 -1.6381 13.5242
1.1186 -1.3386 9.3794
-1.6836 -0.3124 15.8924
1.6836 0.3124 7.0112
-1.1186 1.3386 13.5242
0.5999 1.6381 9.3794
-1.7302 -0.0427 18.4102
-0.8789 3.8467 13.3623
1.1123 -1.3019 15.8923
1.7186 0.2995 13.5242
0.9021 -1.4771 18.4102
0.5713 1.6143 15.8923
2.8919 2.6845 9.5412
3.7708 -1.1622 13.3623
0.8282 1.5198 18.4102
```

## Properties
Mass density   3.06 Mg/m³
Crystal system   trigonal
Calculated formation energy   -3251 meV/atom



[4]
Material: CaPbO3
Method: DFT, PBE
State: relaxed

Structure (POSCAR):
```
CaPbO3
1.0
5.9818 0.0000 0.0000
0.0000 8.2738 0.0000
0.0000 0.0000 5.7604
Ca Pb O
4 4 12
Cartesian
0.3509 2.0685 0.0911
2.6400 6.2054 2.9713
3.3418 2.0685 2.7891
5.6309 6.2054 5.6693
0.0000 0.0000 2.8802
0.0000 4.1369 2.8802
2.9909 0.0000 0.0000
2.9909 4.1369 0.0000
0.3780 6.2054 2.1405
1.1568 4.6933 4.6733
1.1568 7.7174 4.6733
1.8341 0.5564 1.7931
1.8341 3.5805 1.7931
2.6129 2.0685 5.0206
3.3689 6.2054 0.7397
4.1477 4.6933 3.9673
4.1477 7.7174 3.9673
4.8249 0.5564 1.0871
4.8249 3.5805 1.0871
5.6037 2.0685 3.6199
```

## Properties
Mass density   6.88 Mg/m³
Crystal system   orthorhombic
Calculated formation energy   -2173 meV/atom



[5]
Material: Ca2Si3PbO9
Method: DFT, PBE
State: relaxed

Structure (POSCAR):
```
Ca2Si3PbO9
1.0
6.7820 0.0000 0.0000
1.5647 6.6492 0.0000
3.3596 0.4388 9.0426
Ca Si Pb O
4 6 2 18
Cartesian
1.7294 3.0131 1.5230
3.6894 2.0283 4.4747
8.0169 5.0597 4.5680
9.9769 4.0749 7.5197
3.2236 6.1054 1.9811
4.7279 5.3115 4.3724
6.6569 3.2631 7.2185
5.0494 3.8248 1.8242
6.9784 1.7764 4.6702
8.4827 0.9825 7.0615
6.1541 6.4003 7.6131
5.5522 0.6876 1.4295
3.0295 1.8584 6.7236
1.2296 0.7712 1.1388
3.5749 4.4092 5.0594
4.0642 6.5096 3.3764
5.4767 3.8676 8.1548
5.7936 6.0583 5.3315
3.9423 2.6819 2.1777
4.3041 5.1523 1.1194
6.0472 2.6653 5.7657
5.6591 4.4227 3.2770
7.4022 1.9356 7.9232
7.7640 4.4060 6.8650
5.9127 1.0297 3.7112
6.2296 3.2203 0.8878
7.6421 0.5783 5.6663
8.1314 2.6787 3.9832
10.4767 6.3167 7.9038
8.6768 5.2296 2.3191
```

## Properties
Mass density   4.20 Mg/m³
Crystal system   triclinic
Calculated formation energy   -3162 meV/atom



[6]
Material: Ca2Si3Pb3O11
Method: DFT, PBE
State: relaxed

Structure (POSCAR):
```
Ca2Si3Pb3O11
1.0
10.0523 0.0000 0.0000
-5.0261 8.7055 0.0000
0.0000 0.0000 10.3190
Ca Si Pb O
6 9 9 33
Cartesian
0.0000 0.0000 0.0000
0.0000 0.0000 3.3253
0.0000 0.0000 6.9937
0.0000 5.8037 0.0000
0.0000 5.8037 3.5011
0.0000 5.8037 6.8179
-1.0392 2.7003 5.1595
-2.8589 6.2350 1.5410
-2.8589 6.2350 8.7780
-2.1680 8.2554 5.1595
1.0559 3.1122 1.5410
1.0559 3.1122 8.7780
1.8029 8.0639 1.5410
1.8029 8.0639 8.7780
3.2073 6.4554 5.1595
2.3840 2.7575 5.1595
3.6999 0.5161 1.8451
3.6999 0.5161 8.4739
3.6231 5.2432 1.8451
3.6231 5.2432 8.4739
6.4722 0.6859 5.1595
6.2222 5.2621 5.1595
7.7553 2.9462 1.8451
7.7553 2.9462 8.4739
-4.0076 7.3594 1.6232
-4.0076 7.3594 8.6958
-2.7763 5.5213 0.0000
-3.6531 7.5117 5.1595
0.3474 1.7860 5.1595
0.6565 1.5552 1.6232
0.6565 1.5552 8.6958
-0.7651 4.2907 5.1595
-0.2805 4.0865 1.7321
-0.2805 4.0865 8.5869
-1.3469 6.9052 1.7321
-1.3469 6.9052 8.5869
2.8298 0.6068 3.8811
2.8298 0.6068 6.4380
-0.9278 7.2227 5.1595
1.6326 3.5405 0.0000
2.2147 3.5676 2.6150
2.2147 3.5676 7.7041
1.6928 5.8976 5.1595
1.6274 6.4194 1.7321
1.6274 6.4194 8.5869
5.8552 0.1342 2.6150
5.8552 0.1342 7.7041
1.1436 8.3492 0.0000
4.1368 5.9515 3.8811
4.1368 5.9515 6.4380
3.3057 8.1134 5.1595
3.3510 8.4965 1.6232
3.3510 8.4965 8.6958
8.1119 2.1473 3.8811
8.1119 2.1473 6.4380
7.0084 5.0037 2.6150
7.0084 5.0037 7.7041
```

## Properties
Mass density   5.31 Mg/m³
Crystal system   hexagonal
Calculated formation energy   -2828 meV/atom